# 1
Density functional theory data (PBE with a Hubbard U) for an optimized crystal structure of LiCrP4O12.

Computed properties:
- Excess energy over the best structure of this formula in the dataset: 86 meV per atom
- Total magnetic moment: 12.0 Bohr magnetons per cell
- Final energy: -7.1310 eV/atom
- Corrected total energy (MP2020 scheme): -7.70 eV/atom
- Space-group type: P2_1/c (14)

abc: 12.977 7.647 11.320
angles: 55.73 90.00 90.00
Fractional coordinates of all 72 atoms:
Li 0.285 0.679 0.418
O 0.639 0.575 0.833
P 0.893 0.646 0.765
P 0.915 0.068 0.722
O 0.159 0.828 0.397
O 0.643 0.464 0.405
O 0.494 0.417 0.788
O 0.972 0.830 0.345
O 0.144 0.027 0.872
P 0.107 0.354 0.235
O 0.841 0.172 0.603
O 0.472 0.170 0.155
P 0.637 0.815 0.789
O 0.506 0.583 0.212
Cr 0.209 0.096 0.001
O 0.219 0.170 0.624
O 0.104 0.923 0.149
P 0.612 0.478 0.741
P 0.863 0.815 0.289
O 0.117 0.339 0.917
Li 0.715 0.321 0.582
O 0.659 0.172 0.103
O 0.176 0.709 0.721
O 0.940 0.826 0.782
O 0.644 0.973 0.628
O 0.883 0.661 0.083
O 0.861 0.575 0.333
O 0.678 0.750 0.138
O 0.324 0.709 0.221
O 0.676 0.291 0.779
O 0.357 0.536 0.595
O 0.060 0.174 0.218
O 0.006 0.417 0.288
O 0.396 0.923 0.649
O 0.857 0.464 0.905
P 0.363 0.185 0.211
O 0.281 0.170 0.124
P 0.085 0.932 0.278
O 0.322 0.250 0.862
P 0.137 0.185 0.711
O 0.028 0.170 0.655
O 0.719 0.830 0.876
P 0.607 0.646 0.265
Li 0.785 0.321 0.082
O 0.781 0.830 0.376
Cr 0.291 0.096 0.501
Cr 0.791 0.904 0.999
O 0.143 0.536 0.095
O 0.560 0.826 0.282
P 0.888 0.478 0.241
Cr 0.709 0.904 0.499
O 0.604 0.077 0.351
P 0.393 0.354 0.735
O 0.528 0.830 0.845
O 0.856 0.973 0.128
P 0.585 0.068 0.222
O 0.824 0.291 0.279
O 0.383 0.339 0.417
O 0.822 0.750 0.638
O 0.178 0.250 0.362
P 0.415 0.932 0.778
O 0.361 0.425 0.167
O 0.896 0.077 0.851
O 0.440 0.174 0.718
O 0.617 0.661 0.583
P 0.388 0.522 0.259
O 0.341 0.828 0.897
Li 0.215 0.679 0.918
O 0.356 0.027 0.372
O 0.994 0.583 0.712
O 0.139 0.425 0.667
P 0.112 0.522 0.759

# 2
Density functional theory data (PBE with a Hubbard U) for an optimized crystal structure of LiCrP4O12.

Computed properties:
- Excess energy over the best structure of this formula in the dataset: 38 meV per atom
- Total magnetic moment: 6.0 Bohr magnetons per cell
- Final energy: -7.1792 eV/atom
- Corrected total energy (MP2020 scheme): -7.75 eV/atom
- Space-group type: P2_1 (4)

abc: 13.626 5.204 7.371
angles: 81.69 90.00 90.00
Fractional coordinates of all 36 atoms:
P 0.597 0.025 0.445
O 0.610 0.032 0.228
O 0.110 0.968 0.772
P 0.677 0.858 0.107
O 0.657 0.811 0.551
P 0.820 0.221 0.883
O 0.858 0.718 0.513
O 0.403 0.642 0.045
O 0.768 0.050 0.054
Cr 0.234 0.494 0.501
O 0.903 0.358 0.955
O 0.316 0.794 0.555
O 0.986 0.066 0.515
P 0.177 0.142 0.893
Cr 0.734 0.506 0.499
O 0.268 0.950 0.946
P 0.320 0.779 0.117
O 0.358 0.282 0.487
O 0.361 0.007 0.229
O 0.861 0.993 0.771
O 0.157 0.189 0.449
O 0.718 0.627 0.231
O 0.243 0.626 0.234
O 0.619 0.816 0.944
O 0.816 0.206 0.445
P 0.373 0.011 0.444
P 0.097 0.975 0.555
Li 0.510 0.631 0.892
O 0.486 0.934 0.485
O 0.109 0.705 0.509
O 0.218 0.373 0.769
Li 0.010 0.369 0.108
O 0.119 0.184 0.056
P 0.873 0.989 0.556
O 0.743 0.374 0.766
O 0.609 0.295 0.491

# 3
Density functional theory data (PBE with a Hubbard U) for an optimized crystal structure of LiCrPO4.

Computed properties:
- Excess energy over the best structure of this formula in the dataset: 39 meV per atom
- Total magnetic moment: 24.0 Bohr magnetons per cell
- Final energy: -7.1024 eV/atom
- Corrected total energy (MP2020 scheme): -7.78 eV/atom
- Space-group type: P31c (159)

abc: 7.625 7.625 9.530
angles: 90.00 90.00 120.00
Fractional coordinates of all 42 atoms:
O 0.704 0.161 0.633
O 0.333 0.667 0.613
Li 0.041 0.248 0.260
O 0.507 0.635 0.829
O 0.778 0.891 0.454
P 0.667 0.333 0.278
O 0.891 0.778 0.954
Li 0.793 0.752 0.760
O 0.635 0.507 0.329
O 0.493 0.127 0.329
P 0.000 0.000 0.509
O 0.109 0.887 0.454
O 0.365 0.873 0.829
O 0.222 0.113 0.954
O 0.543 0.839 0.133
Li 0.752 0.793 0.260
Cr 0.584 0.053 0.979
O 0.887 0.109 0.954
O 0.873 0.365 0.329
O 0.667 0.333 0.113
O 0.000 0.000 0.672
P 0.333 0.667 0.778
Li 0.959 0.207 0.760
O 0.161 0.704 0.133
O 0.113 0.222 0.454
O 0.296 0.457 0.133
P 0.333 0.667 0.181
P 0.667 0.333 0.681
Cr 0.531 0.947 0.479
Cr 0.947 0.531 0.979
O 0.839 0.543 0.633
O 0.333 0.667 0.350
P 0.000 0.000 0.009
Cr 0.053 0.584 0.479
O 0.457 0.296 0.633
Li 0.248 0.041 0.760
Cr 0.469 0.416 0.979
O 0.000 0.000 0.172
O 0.127 0.493 0.829
Li 0.207 0.959 0.260
Cr 0.416 0.469 0.479
O 0.667 0.333 0.850

# 4
Density functional theory data (PBE with a Hubbard U) for an optimized crystal structure of Li3Cr3P4O16.

Computed properties:
- Excess energy over the best structure of this formula in the dataset: 0 meV per atom
- Total magnetic moment: 18.0 Bohr magnetons per cell
- Final energy: -7.1915 eV/atom
- Corrected total energy (MP2020 scheme): -7.84 eV/atom
- Space-group type: C2/c (15)

abc: 10.091 10.091 10.441
angles: 89.79 89.79 36.69
Fractional coordinates of all 52 atoms:
O 0.573 0.600 0.108
P 0.581 0.254 0.498
O 0.600 0.573 0.608
Li 0.534 0.466 0.250
O 0.795 0.690 0.856
Cr 0.634 0.678 0.246
O 0.400 0.427 0.392
O 0.058 0.631 0.718
Li 0.819 0.048 0.952
O 0.205 0.310 0.144
Cr 0.500 0.000 0.500
Li 0.466 0.534 0.750
O 0.987 0.319 0.717
Cr 0.366 0.322 0.754
O 0.768 0.723 0.135
O 0.232 0.277 0.865
O 0.427 0.400 0.892
O 0.171 0.786 0.970
O 0.942 0.369 0.282
P 0.780 0.821 0.247
O 0.650 0.050 0.495
O 0.525 0.631 0.369
O 0.631 0.525 0.869
Cr 0.322 0.366 0.254
O 0.350 0.950 0.505
P 0.254 0.581 0.998
P 0.419 0.746 0.502
O 0.310 0.205 0.644
P 0.220 0.179 0.753
O 0.369 0.942 0.782
Li 0.181 0.952 0.048
O 0.319 0.987 0.217
O 0.475 0.369 0.631
O 0.013 0.681 0.283
P 0.179 0.220 0.253
O 0.681 0.013 0.783
O 0.214 0.829 0.530
O 0.786 0.171 0.470
O 0.050 0.650 0.995
P 0.746 0.419 0.002
Cr 0.000 0.500 0.000
Cr 0.678 0.634 0.746
O 0.690 0.795 0.356
Li 0.952 0.181 0.548
O 0.277 0.232 0.365
Li 0.048 0.819 0.452
O 0.950 0.350 0.005
O 0.369 0.475 0.131
O 0.829 0.214 0.030
O 0.723 0.768 0.635
P 0.821 0.780 0.747
O 0.631 0.058 0.218

# 5
Density functional theory data (PBE with a Hubbard U) for an optimized crystal structure of LiCrP2O7.

Computed properties:
- Excess energy over the best structure of this formula in the dataset: 78 meV per atom
- Total magnetic moment: 12.0 Bohr magnetons per cell
- Final energy: -7.1623 eV/atom
- Corrected total energy (MP2020 scheme): -7.78 eV/atom
- Space-group type: P2_1/c (14)

abc: 8.450 6.999 9.187
angles: 67.80 90.00 90.00
Fractional coordinates of all 44 atoms:
O 0.241 0.876 0.209
O 0.899 0.885 0.195
P 0.782 0.527 0.034
O 0.741 0.124 0.291
O 0.581 0.494 0.650
O 0.399 0.115 0.305
O 0.380 0.479 0.886
O 0.880 0.521 0.614
O 0.259 0.876 0.709
P 0.734 0.936 0.242
O 0.108 0.045 0.377
O 0.690 0.753 0.408
Cr 0.434 0.697 0.684
O 0.810 0.753 0.908
Li 0.073 0.799 0.595
O 0.101 0.115 0.805
O 0.892 0.955 0.623
P 0.766 0.936 0.742
P 0.282 0.473 0.466
O 0.723 0.375 0.448
O 0.392 0.045 0.877
P 0.718 0.527 0.534
O 0.759 0.124 0.791
Cr 0.934 0.303 0.816
O 0.620 0.521 0.114
Li 0.927 0.201 0.405
O 0.310 0.247 0.592
O 0.190 0.247 0.092
O 0.601 0.885 0.695
O 0.277 0.625 0.552
O 0.223 0.625 0.052
O 0.919 0.494 0.150
Li 0.427 0.799 0.095
Li 0.573 0.201 0.905
O 0.081 0.506 0.850
P 0.218 0.473 0.966
P 0.234 0.064 0.258
O 0.419 0.506 0.350
P 0.266 0.064 0.758
O 0.777 0.375 0.948
Cr 0.066 0.697 0.184
O 0.120 0.479 0.386
Cr 0.566 0.303 0.316
O 0.608 0.955 0.123

# 6
Density functional theory data (PBE with a Hubbard U) for an optimized crystal structure of LiCr4P3O12.

Computed properties:
- Excess energy over the best structure of this formula in the dataset: 75 meV per atom
- Total magnetic moment: 64.0 Bohr magnetons per cell
- Final energy: -7.4189 eV/atom
- Corrected total energy (MP2020 scheme): -8.23 eV/atom
- Space-group type: Pnnm (58)

abc: 6.461 9.975 16.344
angles: 90.00 90.00 90.00
Fractional coordinates of all 80 atoms:
O 0.500 0.390 0.182
O 0.500 0.869 0.486
O 0.802 0.175 0.076
O 0.305 0.915 0.169
O 0.193 0.909 0.619
O 0.000 0.890 0.318
O 0.500 0.101 0.699
O 0.195 0.415 0.331
O 0.000 0.379 0.724
O 0.500 0.131 0.514
O 0.500 0.617 0.255
O 0.695 0.085 0.831
Cr 0.000 0.981 0.144
O 0.500 0.349 0.443
O 0.000 0.631 0.986
Cr 0.500 0.958 0.598
P 0.500 0.715 0.473
Cr 0.751 0.246 0.705
Cr 0.500 0.042 0.402
O 0.307 0.409 0.881
Cr 0.251 0.746 0.795
P 0.000 0.215 0.027
Cr 0.251 0.254 0.205
O 0.695 0.915 0.169
O 0.693 0.409 0.881
Cr 0.000 0.542 0.098
O 0.805 0.415 0.331
O 0.807 0.091 0.381
O 0.805 0.585 0.669
Cr 0.749 0.746 0.795
O 0.305 0.085 0.831
P 0.000 0.954 0.665
Cr 0.249 0.246 0.705
Li 0.500 0.217 0.972
P 0.000 0.466 0.290
P 0.500 0.966 0.210
O 0.500 0.610 0.818
O 0.500 0.651 0.557
O 0.000 0.601 0.801
O 0.500 0.383 0.745
P 0.500 0.285 0.527
O 0.198 0.825 0.924
O 0.500 0.879 0.776
P 0.500 0.546 0.165
O 0.698 0.325 0.576
Cr 0.500 0.519 0.644
O 0.000 0.399 0.199
Li 0.500 0.783 0.028
Cr 0.000 0.019 0.856
P 0.000 0.046 0.335
O 0.698 0.675 0.424
O 0.198 0.175 0.076
P 0.000 0.534 0.710
Cr 0.500 0.481 0.356
Cr 0.249 0.754 0.295
O 0.693 0.591 0.119
O 0.307 0.591 0.119
O 0.000 0.117 0.245
O 0.000 0.369 0.014
P 0.000 0.785 0.973
Cr 0.000 0.458 0.902
O 0.000 0.621 0.276
Li 0.000 0.283 0.472
O 0.807 0.909 0.619
O 0.302 0.675 0.424
Li 0.000 0.717 0.528
O 0.000 0.151 0.943
O 0.195 0.585 0.669
O 0.000 0.883 0.755
O 0.193 0.091 0.381
O 0.000 0.110 0.682
Cr 0.751 0.754 0.295
O 0.000 0.849 0.057
O 0.500 0.121 0.224
O 0.302 0.325 0.576
O 0.802 0.825 0.924
Cr 0.749 0.254 0.205
O 0.500 0.899 0.301
P 0.500 0.454 0.835
P 0.500 0.034 0.790

# 7
Density functional theory data (PBE with a Hubbard U) for an optimized crystal structure of LiCrPO4.

Computed properties:
- Excess energy over the best structure of this formula in the dataset: 91 meV per atom
- Total magnetic moment: 0.0 Bohr magnetons per cell
- Final energy: -7.0495 eV/atom
- Corrected total energy (MP2020 scheme): -7.73 eV/atom
- Space-group type: P2_1 (4)

abc: 5.194 8.088 8.876
angles: 82.26 90.00 90.00
Fractional coordinates of all 28 atoms:
O 0.352 0.317 0.218
O 0.897 0.194 0.478
P 0.563 0.791 0.381
Cr 0.523 0.176 0.409
O 0.911 0.308 0.727
Cr 0.476 0.624 0.063
O 0.852 0.683 0.782
O 0.397 0.806 0.522
Li 0.067 0.570 0.304
O 0.248 0.129 0.017
O 0.633 0.970 0.303
Li 0.567 0.430 0.696
O 0.323 0.302 0.570
O 0.133 0.030 0.697
P 0.925 0.735 0.939
Cr 0.976 0.376 0.937
O 0.382 0.428 0.935
O 0.411 0.692 0.273
P 0.063 0.209 0.619
Li 0.874 0.019 0.125
O 0.882 0.572 0.065
Li 0.374 0.981 0.875
O 0.823 0.698 0.430
O 0.748 0.871 0.983
O 0.212 0.775 0.948
Cr 0.023 0.824 0.591
P 0.425 0.265 0.061
O 0.712 0.225 0.052

# 8
Density functional theory data (PBE with a Hubbard U) for an optimized crystal structure of LiCrPO4.

Computed properties:
- Excess energy over the best structure of this formula in the dataset: 50 meV per atom
- Total magnetic moment: 16.0 Bohr magnetons per cell
- Final energy: -7.0905 eV/atom
- Corrected total energy (MP2020 scheme): -7.77 eV/atom
- Space-group type: Pna2_1 (33)

abc: 4.986 7.944 9.183
angles: 90.00 90.00 90.00
Fractional coordinates of all 28 atoms:
Cr 0.468 0.835 0.961
Li 0.947 0.049 0.617
O 0.191 0.276 0.199
O 0.762 0.239 0.350
P 0.063 0.269 0.354
Li 0.447 0.451 0.117
O 0.150 0.440 0.427
Cr 0.968 0.665 0.461
O 0.150 0.940 0.073
P 0.563 0.231 0.854
O 0.650 0.060 0.927
Cr 0.468 0.335 0.539
Li 0.447 0.951 0.383
O 0.191 0.776 0.301
O 0.711 0.361 0.957
O 0.650 0.560 0.573
O 0.691 0.224 0.699
O 0.262 0.261 0.850
Cr 0.968 0.165 0.039
O 0.211 0.139 0.457
O 0.711 0.861 0.543
O 0.211 0.639 0.043
P 0.063 0.769 0.146
O 0.762 0.739 0.150
O 0.262 0.761 0.650
P 0.563 0.731 0.646
Li 0.947 0.549 0.883
O 0.691 0.724 0.801